Entry from the Materials Project database: an optimized crystal structure of Li4Mn2Fe3Sb3O16 (GGA+U).

Unit cell a=6.1549 b=6.1549 c=9.9249 alpha=89.98 beta=89.98 gamma=60.15
Sites, in units of the cell vectors:
Fe  0.6645  0.1644  0.2861
Li  0.6614  0.6614  0.1188
O  0.8488  0.3127  0.3939
Li  0.9903  0.9903  0.0055
Li  0.9943  0.9943  0.4981
O  0.3296  0.3296  0.3952
O  0.3127  0.8488  0.3939
O  0.6583  0.6583  0.9010
O  0.1733  0.6881  0.8969
O  0.0024  0.0024  0.1851
O  0.1604  0.1604  0.9016
O  0.4758  0.4758  0.1622
Li  0.3253  0.3253  0.6038
Mn  0.3458  0.3458  0.0171
O  0.0319  0.4782  0.1659
O  0.9702  0.5024  0.6700
Sb  0.8328  0.3409  0.7855
O  0.5141  0.5141  0.6682
O  0.8437  0.8437  0.3931
Mn  0.6745  0.6745  0.4981
Sb  0.3409  0.8328  0.7855
O  0.4782  0.0319  0.1659
Fe  0.1644  0.6645  0.2861
O  0.0111  0.0111  0.6814
Sb  0.1687  0.1687  0.2836
O  0.5024  0.9702  0.6700
Fe  0.8335  0.8335  0.7837
O  0.6881  0.1733  0.8969

Output
Its energy relative to the elements is -54.7 eV per formula unit. Its mass density is 4.7 g/cm³.

***

Entry from the Materials Project database: an optimized crystal structure of CuMo2O7 (GGA+U).

Unit cell a=9.2492 b=11.6383 c=10.6294 alpha=92.99 beta=90.00 gamma=90.00
Sites, in units of the cell vectors:
Mo  0.7930  0.8408  0.7083
O  0.2875  0.5143  0.1245
Mo  0.2070  0.8408  0.2083
O  0.9285  0.2413  0.7147
O  0.7125  0.4857  0.8755
O  0.7898  0.1659  0.2144
O  0.0825  0.1519  0.9673
O  0.5706  0.4526  0.1243
Cu  0.9328  0.1943  0.0883
O  0.3369  0.3095  0.9367
O  0.9175  0.1519  0.4673
O  0.6407  0.9452  0.0902
Mo  0.2478  0.8322  0.6199
O  0.7900  0.1942  0.9585
Mo  0.2941  0.4691  0.9601
Mo  0.2070  0.1592  0.2917
O  0.5706  0.5474  0.3757
Cu  0.0672  0.1943  0.5883
Cu  0.0672  0.8057  0.9117
O  0.4294  0.5474  0.8757
O  0.3593  0.9452  0.5902
O  0.9285  0.7587  0.7853
O  0.0715  0.7587  0.2853
O  0.3369  0.6905  0.5633
Mo  0.7059  0.4691  0.4601
O  0.8726  0.5033  0.1022
O  0.2100  0.8058  0.0415
Mo  0.2941  0.5309  0.5399
O  0.1700  0.0000  0.2500
O  0.3593  0.0548  0.9098
O  0.8300  0.0000  0.7500
Cu  0.9328  0.8057  0.4117
O  0.7125  0.5143  0.6245
O  0.7898  0.8341  0.2856
O  0.9175  0.8481  0.0327
O  0.8726  0.4967  0.3978
Cu  0.4315  0.5000  0.2500
O  0.7900  0.8058  0.5415
O  0.2102  0.8341  0.7856
Mo  0.7059  0.5309  0.0399
O  0.2100  0.1942  0.4585
Mo  0.2478  0.1678  0.8801
O  0.6631  0.6905  0.0633
Mo  0.7522  0.1678  0.3801
Cu  0.5685  0.5000  0.7500
O  0.0825  0.8481  0.5327
Mo  0.7930  0.1592  0.7917
O  0.1274  0.5033  0.6022
O  0.2875  0.4857  0.3755
O  0.3726  0.1974  0.2335
O  0.6407  0.0548  0.4098
O  0.6631  0.3095  0.4367
O  0.4294  0.4526  0.6243
O  0.3726  0.8026  0.2665
O  0.2102  0.1659  0.7144
Mo  0.7522  0.8322  0.1199
O  0.6274  0.1974  0.7335
O  0.0715  0.2413  0.2147
O  0.1274  0.4967  0.8978
O  0.6274  0.8026  0.7665

Output
Its energy relative to the elements is -16.5 eV per formula unit. Its mass density is 3.2 g/cm³.

***

Entry from the Materials Project database: an optimized crystal structure of BaMgFeF7 (GGA+U).

Unit cell a=9.9949 b=5.6403 c=9.7043 alpha=86.92 beta=90.00 gamma=90.00
Sites, in units of the cell vectors:
Mg  0.8948  0.6977  0.6900
F  0.0420  0.1110  0.8671
Fe  0.3904  0.1949  0.1872
F  0.4580  0.1110  0.3671
F  0.9586  0.6128  0.8727
F  0.4463  0.8851  0.1259
Ba  0.3219  0.7365  0.4990
F  0.9463  0.1149  0.3741
F  0.2863  0.4708  0.2490
F  0.2799  0.0265  0.7482
F  0.5414  0.6128  0.3727
Fe  0.1096  0.1949  0.6872
F  0.9580  0.8890  0.1329
F  0.8114  0.7426  0.4989
Ba  0.8219  0.2635  0.0010
F  0.3114  0.2574  0.0011
F  0.7137  0.5292  0.7510
F  0.5492  0.3727  0.1311
Ba  0.1781  0.7365  0.9990
Mg  0.6052  0.6977  0.1900
F  0.0492  0.6273  0.3689
F  0.7863  0.5292  0.2510
Mg  0.3948  0.3023  0.8100
F  0.1886  0.2574  0.5011
Fe  0.8904  0.8051  0.3128
F  0.9508  0.3727  0.6311
Ba  0.6781  0.2635  0.5010
F  0.5537  0.1149  0.8741
Mg  0.1052  0.3023  0.3100
F  0.7799  0.9735  0.7518
F  0.2201  0.0265  0.2482
F  0.4508  0.6273  0.8689
F  0.6886  0.7426  0.9989
Fe  0.6096  0.8051  0.8128
F  0.2137  0.4708  0.7490
F  0.0414  0.3872  0.1273
F  0.4586  0.3872  0.6273
F  0.0537  0.8851  0.6259
F  0.7201  0.9735  0.2518
F  0.5420  0.8890  0.6329

Output
Its energy relative to the elements is -34.8 eV per formula unit. Its mass density is 4.3 g/cm³.

***

Entry from the Materials Project database: an optimized crystal structure of MgCoAgO2 (GGA+U).

Unit cell a=2.9904 b=8.1966 c=3.2359 alpha=98.00 beta=117.52 gamma=90.00
Sites, in units of the cell vectors:
Mg  0.3589  0.2377  0.7178
Ag  0.9512  0.9274  0.9024
O  0.0641  0.3317  0.1282
Co  0.5932  0.5562  0.1864
O  0.9285  0.6450  0.8569

Output
The energy above the most stable polymorph in this dataset is 0.047 eV per atom. Its energy relative to the elements is -6.2 eV per formula unit. Its mass density is 5.3 g/cm³.

***

Entry from the Materials Project database: an optimized crystal structure of Li6Mn17O40 (GGA+U).

Unit cell a=5.8196 b=5.8359 c=24.0514 alpha=83.33 beta=90.00 gamma=60.09
Sites, in units of the cell vectors:
Li  0.2235  0.5529  0.1726
O  0.6656  0.1473  0.9527
Mn  0.1003  0.7994  0.8014
Mn  0.4996  0.0007  0.0003
Li  0.8267  0.3466  0.9747
O  0.6684  0.6632  0.4574
O  0.4299  0.1401  0.3481
O  0.2276  0.5447  0.7468
O  0.1686  0.6628  0.4533
O  0.1871  0.1473  0.9527
O  0.0114  0.4168  0.6540
O  0.7617  0.0008  0.2605
Mn  0.8998  0.7004  0.6998
O  0.9657  0.0687  0.8530
Li  0.0255  0.9490  0.5724
O  0.2532  0.4936  0.2577
Mn  0.7025  0.1016  0.1009
Mn  0.1959  0.1016  0.1009
O  0.3888  0.7474  0.5528
O  0.1370  0.2506  0.4476
Li  0.6250  0.7500  0.3758
Li  0.7727  0.4546  0.8259
Mn  0.0966  0.8069  0.2992
O  0.0531  0.8939  0.6578
O  0.9875  0.5835  0.3474
Mn  0.0015  0.5001  0.4997
O  0.3733  0.8179  0.0535
O  0.3724  0.2551  0.0526
O  0.0370  0.9260  0.1400
Mn  0.3998  0.7004  0.6998
O  0.9360  0.6531  0.8472
O  0.2374  0.0008  0.2605
O  0.4109  0.6531  0.8472
Mn  0.4983  0.5001  0.4997
Mn  0.6063  0.2972  0.2991
Li  0.5763  0.8474  0.2269
O  0.5720  0.8561  0.6531
O  0.7886  0.9836  0.7459
O  0.6347  0.7306  0.9468
O  0.4290  0.5835  0.3474
O  0.5634  0.3983  0.1398
O  0.4649  0.0703  0.8598
Mn  0.7019  0.5962  0.1009
O  0.8333  0.3335  0.5473
Mn  0.7995  0.8998  0.9004
Mn  0.8998  0.2003  0.6999
O  0.7465  0.5070  0.7419
Mn  0.6990  0.6019  0.5982
O  0.6124  0.2506  0.4476
Mn  0.3004  0.3992  0.4011
O  0.7627  0.4746  0.2601
Mn  0.3007  0.8998  0.9004
O  0.3370  0.3260  0.5400
Mn  0.0964  0.2972  0.2991
O  0.1364  0.7272  0.9403
O  0.0383  0.3983  0.1398
O  0.8638  0.7474  0.5528
O  0.9464  0.1072  0.3415
O  0.2278  0.9836  0.7459
O  0.5469  0.9063  0.1428
O  0.5718  0.4168  0.6540
O  0.8529  0.2942  0.0578
O  0.8088  0.8179  0.0535

Output
Its energy relative to the elements is -110.1 eV per formula unit. Its mass density is 3.8 g/cm³.

***

Entry from the Materials Project database: an optimized crystal structure of RbCrF3 (GGA+U).

Unit cell a=4.4143 b=4.4143 c=4.0986 alpha=90.00 beta=90.00 gamma=90.00
Sites, in units of the cell vectors:
Rb  0.5000  0.5000  0.5000
Cr  0.0000  0.0000  0.0000
F  0.0000  0.0000  0.5000
F  0.0000  0.5000  0.0000
F  0.5000  0.0000  0.0000

Output
Its energy relative to the elements is -14.5 eV per formula unit. Its mass density is 4.0 g/cm³.